(1)
First-principles (PBE) data for a geometry-optimized SrEuZrSnO6 structure, as listed in the Materials Project.

a = 5.8675 Å, b = 5.8675 Å, c = 5.8675 Å
α = 60.00°, β = 60.00°, γ = 60.00°
Last column: nearest neighbours and their distance in Å.
Element x y z (fractional)
Sr (0.0000, 0.0000, 0.0000)  12 O 2.93
Eu (0.5000, 0.5000, 0.5000)  12 O 2.93
Zr (0.2500, 0.2500, 0.2500)  6 O 2.09
Sn (0.7500, 0.7500, 0.7500)  6 O 2.06
O (0.5019, 0.5019, 0.9981)  1 Sn 2.06, 1 Zr 2.09
O (0.5019, 0.9981, 0.5019)  1 Sn 2.06, 1 Zr 2.09
O (0.5019, 0.9981, 0.9981)  1 Sn 2.06, 1 Zr 2.09
O (0.9981, 0.5019, 0.5019)  1 Sn 2.06, 1 Zr 2.09
O (0.9981, 0.5019, 0.9981)  1 Sn 2.06, 1 Zr 2.09
O (0.9981, 0.9981, 0.5019)  1 Sn 2.06, 1 Zr 2.09

Computed properties:
Its crystal system is cubic. Its space group is No. 216. The formation energy from the elements is -2986 kJ/mol of formula units.

(2)
First-principles (PBE) data for a geometry-optimized TbEu2SnO6 structure, as listed in the Materials Project.

a = 5.9781 Å, b = 5.9781 Å, c = 5.9781 Å
α = 60.00°, β = 60.00°, γ = 60.00°
Last column: nearest neighbours and their distance in Å.
Element x y z (fractional)
Tb (0.0000, 0.0000, 0.0000)  6 O 2.19
Eu (0.2500, 0.2500, 0.2500)  12 O 2.99
Eu (0.7500, 0.7500, 0.7500)  12 O 2.99
Sn (0.5000, 0.5000, 0.5000)  6 O 2.04
O (0.2589, 0.2589, 0.7411)  1 Sn 2.04, 1 Tb 2.19
O (0.2589, 0.7411, 0.2589)  1 Sn 2.04, 1 Tb 2.19
O (0.2589, 0.7411, 0.7411)  1 Sn 2.04, 1 Tb 2.19
O (0.7411, 0.2589, 0.2589)  1 Sn 2.04, 1 Tb 2.19
O (0.7411, 0.2589, 0.7411)  1 Sn 2.04, 1 Tb 2.19
O (0.7411, 0.7411, 0.2589)  1 Sn 2.04, 1 Tb 2.19

Computed properties:
Its crystal system is cubic. Its space group is No. 225. The formation energy from the elements is -2821 kJ/mol of formula units.

(3)
First-principles (PBE) data for a geometry-optimized EuTi4SnO12 structure, as listed in the Materials Project.

a = 7.7883 Å, b = 5.3822 Å, c = 5.3822 Å
α = 90.02°, β = 90.00°, γ = 90.00°
Last column: nearest neighbours and their distance in Å.
Element x y z (fractional)
Eu (0.0000, 0.0000, 0.0000)  8 O 2.39-2.60
Ti (0.2467, 0.0126, 0.5127)  6 O 1.93-2.06
Ti (0.2467, 0.5127, 0.0126)  6 O 1.93-2.06
Ti (0.7533, 0.0126, 0.5127)  6 O 1.93-2.06
Ti (0.7533, 0.5127, 0.0126)  6 O 1.93-2.06
Sn (0.5000, 0.5303, 0.5303)  4 O 2.03-2.05
O (0.0000, 0.0533, 0.4667)  2 Ti 1.95
O (0.0000, 0.4667, 0.0533)  2 Ti 1.95
O (0.2148, 0.7389, 0.7389)  2 Ti 1.93
O (0.2338, 0.2173, 0.8108)  2 Ti 1.93-1.95
O (0.2338, 0.8108, 0.2173)  2 Ti 1.93-1.95
O (0.3195, 0.3347, 0.3347)  1 Sn 2.05, 2 Ti 2.06
O (0.5000, 0.5117, 0.9068)  1 Sn 2.03, 2 Ti 2.05
O (0.5000, 0.9068, 0.5117)  1 Sn 2.03, 2 Ti 2.05
O (0.6805, 0.3347, 0.3347)  1 Sn 2.05, 2 Ti 2.06
O (0.7662, 0.2173, 0.8108)  2 Ti 1.93-1.95
O (0.7662, 0.8108, 0.2173)  2 Ti 1.93-1.95
O (0.7852, 0.7389, 0.7389)  2 Ti 1.93

Computed properties:
Its crystal system is orthorhombic. Its space group is No. 38. The formation energy from the elements is -5163 kJ/mol of formula units.

Q: What is the formation energy from the elements in the first record?
A: -2986 kJ/mol of formula units

Q: formation energy from the elements of number 1 (SrEuZrSnO6)?
A: -2986 kJ/mol of formula units